# 1
Here is an optimized crystal structure of LaSmS2 from the Materials Project. Energies are from r²SCAN.

Crystal system: trigonal
Formation energy, eV per formula unit: -9.44

Lattice parameters (Å, degrees): 4.0744 4.0744 20.0548 90.00 90.00 120.00
Space group R-3m (No. 166, hexagonal axes)
One atom of each set of equivalent atoms:
1 La 0.0000 0.0000 0.0000
2 Sm 0.0000 0.0000 0.5000
3 S 0.0000 0.0000 0.2461

# 2
Here is an optimized crystal structure of SrLa2S4 from the Materials Project. Energies are from r²SCAN.

Crystal system: tetragonal
Formation energy, eV per formula unit: -17.44

Lattice parameters (Å, degrees): 8.823 8.823 8.786 90.00 90.00 90.00
Space group I-42d (No. 122)
One atom of each set of equivalent atoms:
1 Sr 0.000 0.000 0.000
2 La 0.129 0.250 0.625
3 S 0.074 0.175 0.308

# 3
Here is an optimized crystal structure of LaTmS3 from the Materials Project. Energies are from r²SCAN.

Crystal system: monoclinic
Formation energy, eV per formula unit: -12.30

Lattice parameters (Å, degrees): 11.057 3.993 21.558 90.00 101.31 90.00
Space group P2_1/m (No. 11)
One atom of each set of equivalent atoms:
1 La 0.092 0.250 0.365
2 La 0.200 0.250 0.036
3 La 0.301 0.750 0.735
4 La 0.310 0.250 0.234
5 Tm 0.028 0.250 0.850
6 Tm 0.182 0.250 0.547
7 Tm 0.447 0.250 0.917
8 Tm 0.478 0.750 0.413
9 S 0.035 0.250 0.229
10 S 0.058 0.750 0.942
11 S 0.088 0.750 0.466
12 S 0.125 0.250 0.662
13 S 0.205 0.750 0.135
14 S 0.253 0.250 0.826
15 S 0.254 0.750 0.328
16 S 0.343 0.750 0.598
17 S 0.359 0.750 0.986
18 S 0.366 0.250 0.465
19 S 0.456 0.250 0.134
20 S 0.492 0.250 0.719

# 4
Here is an optimized crystal structure of LaTm3S6 from the Materials Project. Energies are from r²SCAN.

Crystal system: monoclinic
Formation energy, eV per formula unit: -24.33

Lattice parameters (Å, degrees): 10.995 3.964 11.248 90.00 108.95 90.00
Space group P2_1/m (No. 11)
One atom of each set of equivalent atoms:
1 La 0.052 0.250 0.196
2 Tm 0.161 0.250 0.589
3 Tm 0.322 0.750 0.999
4 Tm 0.446 0.250 0.334
5 S 0.082 0.750 0.410
6 S 0.123 0.250 0.963
7 S 0.200 0.750 0.749
8 S 0.272 0.750 0.231
9 S 0.392 0.250 0.556
10 S 0.478 0.250 0.111

# 5
Here is an optimized crystal structure of La2US5 from the Materials Project. Energies are from r²SCAN.

Crystal system: orthorhombic
Formation energy, eV per formula unit: -18.45

Lattice parameters (Å, degrees): 11.979 8.290 7.592 90.00 90.00 90.00
Space group Pnma (No. 62)
One atom of each set of equivalent atoms:
1 La 0.175 0.002 0.030
2 U 0.009 0.250 0.569
3 S 0.002 0.250 0.953
4 S 0.092 0.538 0.664
5 S 0.188 0.250 0.337
6 S 0.213 0.750 0.311

# 6
Here is an optimized crystal structure of LaY3S6 from the Materials Project. Energies are from r²SCAN.

Crystal system: monoclinic
Formation energy, eV per formula unit: -24.39

Lattice parameters (Å, degrees): 11.122 4.020 11.390 90.00 108.77 90.00
Space group P2_1/m (No. 11)
One atom of each set of equivalent atoms:
1 La 0.051 0.250 0.195
2 Y 0.161 0.250 0.588
3 Y 0.321 0.750 0.999
4 Y 0.444 0.250 0.333
5 S 0.082 0.750 0.408
6 S 0.120 0.250 0.963
7 S 0.197 0.750 0.749
8 S 0.269 0.750 0.229
9 S 0.393 0.250 0.557
10 S 0.478 0.250 0.111